A plane-wave DFT calculation with PBE-GGA was carried out for a relaxed Ti9ZnS16 crystal.

Summary:
- space-group type = Pc, No. 7
- total energy (eV per atom) = -6.6391

Unit cell a=7.037 b=13.920 c=12.054 alpha=90.00 beta=124.86 gamma=90.00
Element x y z (fractional)
Ti 0.000 0.004 0.000
Ti 0.000 0.996 0.500
Ti 0.003 0.238 0.503
Ti 0.003 0.369 0.243
Ti 0.003 0.631 0.743
Ti 0.003 0.762 0.003
Ti 0.009 0.247 0.008
Ti 0.009 0.753 0.508
Ti 0.012 0.487 0.010
Ti 0.012 0.513 0.510
Ti 0.014 0.120 0.753
Ti 0.014 0.880 0.253
Ti 0.474 0.367 0.239
Ti 0.474 0.633 0.739
Ti 0.489 0.120 0.751
Ti 0.489 0.880 0.251
Ti 0.992 0.125 0.241
Ti 0.992 0.875 0.741
Zn 0.623 0.376 0.624
Zn 0.623 0.624 0.124
S 0.225 0.374 0.492
S 0.225 0.626 0.992
S 0.243 0.123 0.998
S 0.243 0.877 0.498
S 0.244 0.373 0.997
S 0.244 0.627 0.497
S 0.246 0.245 0.746
S 0.246 0.755 0.246
S 0.252 0.494 0.250
S 0.252 0.506 0.750
S 0.253 0.122 0.500
S 0.253 0.878 0.000
S 0.257 0.006 0.253
S 0.257 0.994 0.753
S 0.260 0.244 0.257
S 0.260 0.756 0.757
S 0.740 0.124 0.997
S 0.740 0.876 0.497
S 0.750 0.000 0.249
S 0.750 0.000 0.749
S 0.751 0.247 0.249
S 0.751 0.753 0.749
S 0.754 0.239 0.757
S 0.754 0.489 0.257
S 0.754 0.511 0.757
S 0.754 0.761 0.257
S 0.757 0.370 0.001
S 0.757 0.630 0.501
S 0.761 0.375 0.491
S 0.761 0.625 0.991
S 0.762 0.121 0.506
S 0.762 0.879 0.006